Entry 1:
Here is crystalline TbMg3 at its relaxed geometry from the Materials Project. Energies are from PBE.

Unit cell a=6.7031 b=6.7031 c=5.1855 alpha=90.00 beta=90.00 gamma=120.00
Last column: nearest neighbours and their distance in Å.
Fractional coordinates of all 8 atoms:
Mg1 0.1630 0.8370 0.2500  8 Mg 3.21-3.43, 4 Tb 3.26-3.35
Mg2 0.8370 0.1630 0.7500  8 Mg 3.21-3.43, 4 Tb 3.26-3.35
Mg3 0.8370 0.6741 0.7500  8 Mg 3.21-3.43, 4 Tb 3.26-3.35
Mg4 0.1630 0.3259 0.2500  8 Mg 3.21-3.43, 4 Tb 3.26-3.35
Mg5 0.3259 0.1630 0.7500  8 Mg 3.21-3.43, 4 Tb 3.26-3.35
Mg6 0.6741 0.8370 0.2500  8 Mg 3.21-3.43, 4 Tb 3.26-3.35
Tb1 0.3333 0.6667 0.7500  12 Mg 3.26-3.35
Tb2 0.6667 0.3333 0.2500  12 Mg 3.26-3.35

Output
- Formation enthalpy at 0 K: -7 kJ per mole of atoms
- Total energy: -2.4271 eV/atom
- Mass density: 3.82 Mg/m³

Entry 2:
Here is crystalline TbMg149 at its relaxed geometry from the Materials Project. Energies are from PBE.

Unit cell a=15.9925 b=15.9925 c=15.6217 alpha=90.00 beta=90.00 gamma=120.00
Last column: nearest neighbours and their distance in Å.
Fractional coordinates of all 150 atoms:
Mg1 0.2006 0.2006 0.3335  12 Mg 3.15-3.21
Mg2 0.6674 0.1330 0.1665  12 Mg 3.18-3.23
Mg3 0.4666 0.5334 0.8327  12 Mg 3.17-3.20
Mg4 0.8681 0.7362 0.1646  12 Mg 3.17-3.23
Mg5 0.8000 0.4000 0.6672  12 Mg 3.19-3.20
Mg6 0.6001 0.3999 0.0000  12 Mg 3.18-3.20
Mg7 0.8681 0.1319 0.1646  12 Mg 3.17-3.23
Mg8 0.2006 0.2006 0.6665  12 Mg 3.15-3.21
Mg9 0.4656 0.3326 0.8335  12 Mg 3.18-3.23
Mg10 0.2638 0.1319 0.8354  12 Mg 3.17-3.23
Mg11 0.0002 0.4002 0.0000  12 Mg 3.14-3.20
Mg12 0.2671 0.1336 0.5000  12 Mg 3.19-3.20
Mg13 0.4666 0.9333 0.8327  12 Mg 3.17-3.20
Mg14 0.4000 0.4002 0.0000  12 Mg 3.14-3.20
Mg15 0.0680 0.9320 0.8303  11 Mg 3.15-3.26, 1 Tb 3.25
Mg16 0.2676 0.9320 0.1677  12 Mg 3.17-3.23
Mg17 0.8681 0.7362 0.8354  12 Mg 3.17-3.23
Mg18 0.4001 0.8001 0.6663  12 Mg 3.18-3.20
Mg19 0.0000 0.7994 0.3335  12 Mg 3.15-3.21
Mg20 0.0668 0.9332 0.5000  12 Mg 3.18-3.20
Mg21 0.8001 0.1999 0.6672  12 Mg 3.18-3.23
Mg22 0.3997 0.6003 0.0000  12 Mg 3.16-3.20
Mg23 0.5997 0.0002 0.3338  12 Mg 3.18-3.20
Mg24 0.3997 0.1999 0.6672  12 Mg 3.18-3.23
Mg25 0.5998 0.6000 0.0000  12 Mg 3.14-3.20
Mg26 0.2016 0.7984 0.0000  12 Mg 3.16-3.21
Mg27 0.7994 0.2006 0.0000  12 Mg 3.18-3.22
Mg28 0.8664 0.9332 0.5000  12 Mg 3.18-3.20
Mg29 0.6671 0.5330 0.5000  12 Mg 3.18-3.21
Mg30 0.5997 0.0002 0.6662  12 Mg 3.18-3.20
Mg31 0.0680 0.9320 0.1697  11 Mg 3.15-3.26, 1 Tb 3.25
Mg32 0.2005 0.6003 0.0000  12 Mg 3.16-3.20
Mg33 0.6664 0.9332 0.5000  12 Mg 3.18-3.21
Mg34 0.2671 0.5343 0.1673  12 Mg 3.18-3.20
Mg35 0.0029 0.7979 0.0000  11 Mg 3.14-3.32, 1 Tb 3.25
Mg36 0.4005 0.4003 0.3338  12 Mg 3.18-3.20
Mg37 0.5998 0.9998 0.0000  12 Mg 3.14-3.20
Mg38 0.1999 0.5999 0.3337  12 Mg 3.18-3.20
Mg39 0.0680 0.1359 0.1697  11 Mg 3.15-3.26, 1 Tb 3.25
Mg40 0.6644 0.9320 0.1677  12 Mg 3.17-3.23
Mg41 0.4656 0.3326 0.1665  12 Mg 3.18-3.23
Mg42 0.8001 0.6003 0.6672  12 Mg 3.18-3.23
Mg43 0.0002 0.6000 0.0000  12 Mg 3.14-3.20
Mg44 0.5996 0.7998 0.6659  12 Mg 3.18-3.20
Mg45 0.4001 0.5999 0.3337  12 Mg 3.18-3.20
Mg46 0.8670 0.3326 0.8335  12 Mg 3.18-3.23
Mg47 0.9998 0.4003 0.6662  12 Mg 3.18-3.20
Mg48 0.4000 0.9998 0.0000  12 Mg 3.14-3.20
Mg49 0.0668 0.1336 0.5000  12 Mg 3.18-3.20
Mg50 0.6667 0.3333 0.1661  12 Mg 3.18-3.21
Mg51 0.6000 0.2000 0.3328  12 Mg 3.19-3.20
Mg52 0.4657 0.7329 0.8327  12 Mg 3.18-3.20
Mg53 0.8641 0.9320 0.1697  11 Mg 3.15-3.26, 1 Tb 3.25
Mg54 0.7950 0.7979 0.0000  11 Mg 3.14-3.32, 1 Tb 3.25
Mg55 0.7999 0.3999 0.0000  12 Mg 3.18-3.20
Mg56 0.7994 0.0000 0.6665  12 Mg 3.15-3.21
Mg57 0.4670 0.5330 0.5000  12 Mg 3.18-3.21
Mg58 0.6667 0.3333 0.5000  12 Mg 3.19-3.20
Mg59 0.6674 0.5344 0.8335  12 Mg 3.18-3.23
Mg60 0.8001 0.1999 0.3328  12 Mg 3.18-3.23
Mg61 0.3997 0.7995 0.0000  12 Mg 3.16-3.20
Mg62 0.4005 0.0002 0.3338  12 Mg 3.18-3.20
Mg63 0.2668 0.5335 0.5000  12 Mg 3.18-3.21
Mg64 0.2668 0.7332 0.5000  12 Mg 3.18-3.21
Mg65 0.4005 0.0002 0.6662  12 Mg 3.18-3.20
Mg66 0.9998 0.5995 0.6662  12 Mg 3.18-3.20
Mg67 0.8664 0.1336 0.5000  12 Mg 3.19-3.20
Mg68 0.2671 0.7329 0.1673  12 Mg 3.18-3.20
Mg69 0.0000 0.0000 0.6653  12 Mg 3.18-3.21
Mg70 0.4666 0.5334 0.1673  12 Mg 3.17-3.20
Mg71 0.2006 0.0000 0.3335  12 Mg 3.15-3.21
Mg72 0.4670 0.9339 0.5000  12 Mg 3.18-3.21
Mg73 0.6667 0.3333 0.8339  12 Mg 3.18-3.21
Mg74 0.8658 0.3329 0.5000  12 Mg 3.18-3.21
Mg75 0.4666 0.9333 0.1673  12 Mg 3.17-3.20
Mg76 0.2676 0.9320 0.8323  12 Mg 3.17-3.23
Mg77 0.4656 0.1330 0.1665  12 Mg 3.18-3.23
Mg78 0.4657 0.7329 0.1673  12 Mg 3.18-3.20
Mg79 0.2002 0.4004 0.6659  12 Mg 3.18-3.20
Mg80 0.6000 0.4000 0.6672  12 Mg 3.19-3.20
Mg81 0.6644 0.7324 0.1677  12 Mg 3.17-3.23
Mg82 0.6000 0.2000 0.6672  12 Mg 3.19-3.20
Mg83 0.4012 0.2006 0.0000  12 Mg 3.18-3.22
Mg84 0.8664 0.7329 0.5000  12 Mg 3.19-3.20
Mg85 0.0000 0.0000 0.3347  12 Mg 3.18-3.21
Mg86 0.7994 0.0000 0.3335  12 Mg 3.15-3.21
Mg87 0.4001 0.5999 0.6663  12 Mg 3.18-3.20
Mg88 0.6644 0.9320 0.8323  12 Mg 3.17-3.23
Mg89 0.0680 0.1359 0.8303  11 Mg 3.15-3.26, 1 Tb 3.25
Mg90 0.0680 0.3356 0.8323  12 Mg 3.17-3.23
Mg91 0.5996 0.7998 0.3341  12 Mg 3.18-3.20
Mg92 0.8641 0.9320 0.8303  11 Mg 3.15-3.26, 1 Tb 3.25
Mg93 0.8001 0.6003 0.3328  12 Mg 3.18-3.23
Mg94 0.5997 0.5995 0.6662  12 Mg 3.18-3.20
Mg95 0.4001 0.8001 0.3337  12 Mg 3.18-3.20
Mg96 0.2016 0.4032 0.0000  12 Mg 3.16-3.21
Mg97 0.2002 0.7998 0.3341  12 Mg 3.18-3.20
Mg98 0.9998 0.4003 0.3338  12 Mg 3.18-3.20
Mg99 0.5968 0.7984 0.0000  12 Mg 3.16-3.21
Mg100 0.0680 0.7324 0.1677  12 Mg 3.17-3.23
Mg101 0.2021 0.2050 0.0000  11 Mg 3.14-3.32, 1 Tb 3.25
Mg102 0.4005 0.4003 0.6662  12 Mg 3.18-3.20
Mg103 0.0000 0.2006 0.6665  12 Mg 3.15-3.21
Mg104 0.8670 0.3326 0.1665  12 Mg 3.18-3.23
Mg105 0.7950 0.9971 0.0000  11 Mg 3.14-3.32, 1 Tb 3.25
Mg106 0.8670 0.5344 0.1665  12 Mg 3.18-3.23
Mg107 0.3997 0.1999 0.3328  12 Mg 3.18-3.23
Mg108 0.0029 0.2050 0.0000  11 Mg 3.14-3.32, 1 Tb 3.25
Mg109 0.2671 0.7329 0.8327  12 Mg 3.18-3.20
Mg110 0.6674 0.5344 0.1665  12 Mg 3.18-3.23
Mg111 0.2006 0.0000 0.6665  12 Mg 3.15-3.21
Mg112 0.6000 0.4000 0.3328  12 Mg 3.19-3.20
Mg113 0.0667 0.5334 0.8327  12 Mg 3.17-3.20
Mg114 0.0680 0.3356 0.1677  12 Mg 3.17-3.23
Mg115 0.6001 0.2001 0.0000  12 Mg 3.18-3.20
Mg116 0.8000 0.4000 0.3328  12 Mg 3.19-3.20
Mg117 0.0668 0.7332 0.5000  12 Mg 3.18-3.21
Mg118 0.2668 0.3336 0.5000  12 Mg 3.18-3.21
Mg119 0.2676 0.3356 0.8323  12 Mg 3.17-3.23
Mg120 0.4670 0.3329 0.5000  12 Mg 3.18-3.21
Mg121 0.2002 0.7998 0.6659  12 Mg 3.18-3.20
Mg122 0.0661 0.5330 0.5000  12 Mg 3.18-3.21
Mg123 0.6674 0.1330 0.8335  12 Mg 3.18-3.23
Mg124 0.2638 0.1319 0.1646  12 Mg 3.17-3.23
Mg125 0.7994 0.5988 0.0000  12 Mg 3.18-3.22
Mg126 0.2021 0.9971 0.0000  11 Mg 3.14-3.32, 1 Tb 3.25
Mg127 0.2002 0.4004 0.3341  12 Mg 3.18-3.20
Mg128 0.2676 0.3356 0.1677  12 Mg 3.17-3.23
Mg129 0.6671 0.1342 0.5000  12 Mg 3.18-3.21
Mg130 0.2671 0.5343 0.8327  12 Mg 3.18-3.20
Mg131 0.0000 0.7994 0.6665  12 Mg 3.15-3.21
Mg132 0.0680 0.7324 0.8323  12 Mg 3.17-3.23
Mg133 0.0000 0.2006 0.3335  12 Mg 3.15-3.21
Mg134 0.4670 0.1342 0.5000  12 Mg 3.18-3.21
Mg135 0.9998 0.5995 0.3338  12 Mg 3.18-3.20
Mg136 0.8658 0.5330 0.5000  12 Mg 3.18-3.21
Mg137 0.6664 0.7332 0.5000  12 Mg 3.18-3.21
Mg138 0.2668 0.9332 0.5000  12 Mg 3.18-3.21
Mg139 0.0667 0.5334 0.1673  12 Mg 3.17-3.20
Mg140 0.4665 0.7332 0.5000  12 Mg 3.18-3.21
Mg141 0.0668 0.3336 0.5000  12 Mg 3.18-3.21
Mg142 0.4656 0.1330 0.8335  12 Mg 3.18-3.23
Mg143 0.8681 0.1319 0.8354  12 Mg 3.17-3.23
Mg144 0.7994 0.7994 0.6665  12 Mg 3.15-3.21
Mg145 0.5997 0.5995 0.3338  12 Mg 3.18-3.20
Mg146 0.7994 0.7994 0.3335  12 Mg 3.15-3.21
Mg147 0.1999 0.5999 0.6663  12 Mg 3.18-3.20
Mg148 0.6644 0.7324 0.8323  12 Mg 3.17-3.23
Mg149 0.8670 0.5344 0.8335  12 Mg 3.18-3.23
Tb1 0.0000 0.0000 0.0000  12 Mg 3.25

Output
- Formation enthalpy at 0 K: -2 kJ per mole of atoms
- Total energy: -1.6460 eV/atom
- Mass density: 1.81 Mg/m³

Entry 3:
Here is crystalline TbMg3 at its relaxed geometry from the Materials Project. Energies are from PBE.

Unit cell a=5.1818 b=5.1818 c=5.1818 alpha=60.00 beta=60.00 gamma=60.00
Last column: nearest neighbours and their distance in Å.
Fractional coordinates of all 4 atoms:
Mg1 0.7500 0.7500 0.7500  4 Tb 3.17, 4 Mg 3.17
Mg2 0.5000 0.5000 0.5000  8 Mg 3.17
Mg3 0.2500 0.2500 0.2500  4 Mg 3.17, 4 Tb 3.17
Tb1 0.0000 0.0000 0.0000  8 Mg 3.17

Output
- Formation enthalpy at 0 K: -8 kJ per mole of atoms
- Total energy: -2.4384 eV/atom
- Mass density: 3.91 Mg/m³

Entry 4:
Here is crystalline TbMg at its relaxed geometry from the Materials Project. Energies are from PBE.

Unit cell a=3.7989 b=3.7989 c=3.7989 alpha=90.00 beta=90.00 gamma=90.00
Last column: nearest neighbours and their distance in Å.
Fractional coordinates of all 2 atoms:
Mg1 0.0000 0.0000 0.0000  8 Tb 3.29
Tb1 0.5000 0.5000 0.5000  8 Mg 3.29

Output
- Formation enthalpy at 0 K: -8 kJ per mole of atoms
- Total energy: -3.2028 eV/atom
- Mass density: 5.55 Mg/m³

Entry 5:
Here is crystalline Tb2Mg at its relaxed geometry from the Materials Project. Energies are from PBE.

Unit cell a=7.0142 b=7.0142 c=7.0142 alpha=149.75 beta=149.75 gamma=43.30
Last column: nearest neighbours and their distance in Å.
Fractional coordinates of all 3 atoms:
Tb1 0.6598 0.6598 0.0000  4 Mg 3.32, 8 Tb 3.50-3.66
Tb2 0.3402 0.3402 0.0000  4 Mg 3.32, 8 Tb 3.50-3.66
Mg1 0.0000 0.0000 0.0000  8 Tb 3.32, 4 Mg 3.66

Output
- Formation enthalpy at 0 K: -4 kJ per mole of atoms
- Total energy: -3.6636 eV/atom
- Mass density: 6.51 Mg/m³

Entry 6:
Here is crystalline TbMgZn2 at its relaxed geometry from the Materials Project. Energies are from PBE.

Unit cell a=4.8251 b=4.8251 c=4.8251 alpha=60.00 beta=60.00 gamma=60.00
Last column: nearest neighbours and their distance in Å.
Fractional coordinates of all 4 atoms:
Zn1 0.7500 0.7500 0.7500  4 Tb 2.95, 4 Mg 2.95
Zn2 0.2500 0.2500 0.2500  4 Tb 2.95, 4 Mg 2.95
Mg1 0.5000 0.5000 0.5000  8 Zn 2.95
Tb1 0.0000 0.0000 0.0000  8 Zn 2.95

Output
- Formation enthalpy at 0 K: -34 kJ per mole of atoms
- Total energy: -2.5382 eV/atom
- Mass density: 6.57 Mg/m³

Entry 7:
Here is crystalline Mg3Tc at its relaxed geometry from the Materials Project. Energies are from PBE.

Unit cell a=5.1419 b=5.1419 c=5.1419 alpha=133.13 beta=133.13 gamma=68.45
Last column: nearest neighbours and their distance in Å.
Fractional coordinates of all 4 atoms:
Mg1 0.7500 0.2500 0.5000  8 Mg 2.89-2.95, 4 Tc 2.95
Mg2 0.5000 0.5000 0.0000  4 Tc 2.89, 8 Mg 2.95
Mg3 0.2500 0.7500 0.5000  8 Mg 2.89-2.95, 4 Tc 2.95
Tc1 0.0000 0.0000 0.0000  12 Mg 2.89-2.95

Output
- Formation enthalpy at 0 K: 21 kJ per mole of atoms
- Total energy: -3.5757 eV/atom
- Mass density: 3.99 Mg/m³

Entry 8:
Here is crystalline Mg3Tc at its relaxed geometry from the Materials Project. Energies are from PBE.

Unit cell a=5.9157 b=5.9157 c=4.8240 alpha=90.00 beta=90.00 gamma=120.00
Last column: nearest neighbours and their distance in Å.
Fractional coordinates of all 8 atoms:
Tc1 0.6667 0.3333 0.2500  12 Mg 2.91-2.96
Tc2 0.3333 0.6667 0.7500  12 Mg 2.91-2.96
Mg1 0.8259 0.6518 0.7500  8 Mg 2.83-3.09, 4 Tc 2.91-2.96
Mg2 0.1741 0.3482 0.2500  8 Mg 2.83-3.09, 4 Tc 2.91-2.96
Mg3 0.1741 0.8259 0.2500  8 Mg 2.83-3.09, 4 Tc 2.91-2.96
Mg4 0.8259 0.1741 0.7500  8 Mg 2.83-3.09, 4 Tc 2.91-2.96
Mg5 0.3482 0.1741 0.7500  8 Mg 2.83-3.09, 4 Tc 2.91-2.96
Mg6 0.6518 0.8259 0.2500  8 Mg 2.83-3.09, 4 Tc 2.91-2.96

Output
- Formation enthalpy at 0 K: 21 kJ per mole of atoms
- Total energy: -3.5737 eV/atom
- Mass density: 3.88 Mg/m³

Entry 9:
Here is crystalline Tm2MgTc at its relaxed geometry from the Materials Project. Energies are from PBE.

Unit cell a=4.9738 b=4.9738 c=4.9738 alpha=60.00 beta=60.00 gamma=60.00
Last column: nearest neighbours and their distance in Å.
Fractional coordinates of all 4 atoms:
Tm1 0.7500 0.7500 0.7500  4 Mg 3.05, 4 Tc 3.05
Tm2 0.2500 0.2500 0.2500  4 Mg 3.05, 4 Tc 3.05
Tc1 0.0000 0.0000 0.0000  8 Tm 3.05
Mg1 0.5000 0.5000 0.5000  8 Tm 3.05

Output
- Formation enthalpy at 0 K: -5 kJ per mole of atoms
- Total energy: -5.2761 eV/atom
- Mass density: 8.78 Mg/m³

Entry 10:
Here is crystalline Mg5Te at its relaxed geometry from the Materials Project. Energies are from PBE.

Unit cell a=6.1888 b=6.1888 c=6.1888 alpha=53.57 beta=53.57 gamma=53.57
Last column: nearest neighbours and their distance in Å.
Fractional coordinates of all 6 atoms:
Mg1 0.0000 0.6685 0.3315  10 Mg 3.19-3.27, 2 Te 3.23
Mg2 0.6685 0.3315 0.0000  10 Mg 3.19-3.27, 2 Te 3.23
Mg3 0.8298 0.8298 0.8298  9 Mg 3.19-3.27, 3 Te 3.22
Mg4 0.3315 0.0000 0.6685  10 Mg 3.19-3.27, 2 Te 3.23
Mg5 0.1702 0.1702 0.1702  9 Mg 3.19-3.27, 3 Te 3.22
Te1 0.5000 0.5000 0.5000  12 Mg 3.22-3.23

Output
- Formation enthalpy at 0 K: -15 kJ per mole of atoms
- Total energy: -1.9451 eV/atom
- Mass density: 2.91 Mg/m³

Entry 11:
Here is crystalline Mg3Te at its relaxed geometry from the Materials Project. Energies are from PBE.

Unit cell a=6.0876 b=6.0876 c=6.0876 alpha=138.85 beta=138.85 gamma=59.60
Last column: nearest neighbours and their distance in Å.
Fractional coordinates of all 4 atoms:
Te1 0.0000 0.0000 0.0000  4 Mg 3.03
Mg1 0.5000 0.5000 0.0000  4 Te 3.03
Mg2 0.2500 0.7500 0.5000  4 Mg 3.03
Mg3 0.7500 0.2500 0.5000  4 Mg 3.03

Output
- Formation enthalpy at 0 K: -25 kJ per mole of atoms
- Total energy: -2.1424 eV/atom
- Mass density: 3.44 Mg/m³

Entry 12:
Here is crystalline MgTe2 at its relaxed geometry from the Materials Project. Energies are from PBE.

Unit cell a=7.1089 b=7.1089 c=7.1089 alpha=90.00 beta=90.00 gamma=90.00
Last column: nearest neighbours and their distance in Å.
Fractional coordinates of all 12 atoms:
Te1 0.6133 0.6133 0.6133  1 Te 2.79, 3 Mg 2.98
Te2 0.1133 0.6133 0.8867  1 Te 2.79, 3 Mg 2.98
Te3 0.3867 0.3867 0.3867  1 Te 2.79, 3 Mg 2.98
Te4 0.8867 0.3867 0.1133  1 Te 2.79, 3 Mg 2.98
Te5 0.1133 0.8867 0.3867  1 Te 2.79, 3 Mg 2.98
Te6 0.8867 0.1133 0.6133  1 Te 2.79, 3 Mg 2.98
Te7 0.3867 0.1133 0.8867  1 Te 2.79, 3 Mg 2.98
Te8 0.6133 0.8867 0.1133  1 Te 2.79, 3 Mg 2.98
Mg1 0.5000 0.5000 0.0000  6 Te 2.98
Mg2 0.5000 0.0000 0.5000  6 Te 2.98
Mg3 0.0000 0.5000 0.5000  6 Te 2.98
Mg4 0.0000 0.0000 0.0000  6 Te 2.98

Output
- Formation enthalpy at 0 K: -83 kJ per mole of atoms
- Total energy: -3.2071 eV/atom
- Mass density: 5.17 Mg/m³